[1]
Computed, not measured: an optimized crystal structure of Pr4Se3O10F6 at the PBE-GGA level of DFT.

* energy above the lowest structure with this stoichiometry: 2.05 kJ/mol of atoms
* E: -6.478 eV/atom
* magnetization: 0.0 μB per cell
* E_form: -2959 meV per atom

Lattice parameters (Å, degrees): 7.1998 8.4407 11.8770 98.67 107.64 90.00
Closest atoms and distances in Å follow each position.
Sites, in units of the cell vectors:
Pr: 0.0000 0.0000 0.0000  5 F 2.33-2.52, 1 O 2.50
Pr: 0.0009 0.8051 0.3094  3 F 2.37-2.49, 4 O 2.48-2.59
Pr: 0.1683 0.2969 0.3120  4 O 2.41-2.63, 3 F 2.44-2.48
Pr: 0.2659 0.3669 0.8307  3 F 2.42-2.48, 4 O 2.46-2.60
Pr: 0.4258 0.8642 0.8257  3 F 2.43-2.53, 5 O 2.46-2.69
Pr: 0.4408 0.6645 0.1433  5 F 2.37-2.54, 2 O 2.49-2.66
Pr: 0.5655 0.1609 0.1436  5 F 2.34-2.53, 1 O 2.53
Pr: 0.8685 0.5011 0.9959  5 F 2.39-2.55, 3 O 2.53-2.65
Se: 0.1098 0.0788 0.5739  4 O 1.66-1.76
Se: 0.3321 0.5777 0.5695  4 O 1.59-1.73
Se: 0.5415 0.9686 0.3832  3 O 1.67-1.78
Se: 0.7000 0.4600 0.3821  3 O 1.71-1.75
Se: 0.7346 0.1930 0.7579  3 O 1.65-1.78
Se: 0.8828 0.6933 0.7539  3 O 1.70-1.80
O: 0.0099 0.2562 0.6085  1 Se 1.71
O: 0.0745 0.8370 0.8263  1 Se 1.76
O: 0.1361 0.5913 0.4449  1 Se 1.73
O: 0.1771 0.0861 0.4438  1 Se 1.76
O: 0.2640 0.5769 0.6925  1 Se 1.68
O: 0.3032 0.0805 0.6948  1 Se 1.67
O: 0.3512 0.8178 0.3136  1 Se 1.78
O: 0.4277 0.4177 0.5308  1 Se 1.59
O: 0.4539 0.1398 0.3384  1 Se 1.67
O: 0.4712 0.4351 0.2797  1 Se 1.72
O: 0.4720 0.7554 0.6114  1 Se 1.73
O: 0.6046 0.3368 0.8265  1 Se 1.78
O: 0.6785 0.9295 0.2850  1 Se 1.74
O: 0.6954 0.0272 0.8065  1 Se 1.65
O: 0.7394 0.6356 0.3351  1 Se 1.71
O: 0.7559 0.7305 0.8636  1 Se 1.80
O: 0.8305 0.3202 0.3153  1 Se 1.75
O: 0.9628 0.9151 0.5288  1 Se 1.66
O: 0.9651 0.2329 0.8636  1 Se 1.75
O: 0.9730 0.5238 0.8072  1 Se 1.70
F: 0.0105 0.0339 0.2167  3 Pr 2.37-2.52, 1 O 2.57
F: 0.0675 0.7525 0.0750  2 Pr 2.39-2.45, 3 F 2.54-2.66
F: 0.0691 0.5355 0.2164  3 Pr 2.46-2.55, 1 O 2.58, 2 F 2.65-2.66
F: 0.2057 0.4647 0.0180  3 Pr 2.37-2.42, 1 F 2.51
F: 0.2342 0.1934 0.1219  3 Pr 2.33-2.48, 1 F 2.58
F: 0.3580 0.1252 0.9267  3 Pr 2.47-2.53, 3 F 2.54-2.75, 1 O 2.63
F: 0.3614 0.9138 0.0588  3 Pr 2.45-2.62, 4 F 2.54-2.62
F: 0.4321 0.6318 0.9254  3 Pr 2.43-2.54, 1 O 2.63, 2 F 2.64-2.72
F: 0.5631 0.4151 0.0658  3 Pr 2.44-2.71, 4 F 2.51-2.67
F: 0.6881 0.9661 0.0203  3 Pr 2.35-2.53, 2 F 2.58-2.62
F: 0.7585 0.6997 0.1274  3 Pr 2.37-2.42, 2 F 2.54-2.65, 1 O 2.65
F: 0.8684 0.2499 0.0741  3 Pr 2.44-2.70, 4 F 2.58-2.67

[2]
Computed, not measured: an optimized crystal structure of Pr4Se3O10F6 at the PBE-GGA level of DFT.

* energy above the lowest structure with this stoichiometry: 0.00 kJ/mol of atoms
* E: -6.499 eV/atom
* magnetization: 0.0 μB per cell
* E_form: -2980 meV per atom

Lattice parameters (Å, degrees): 11.8770 11.8770 8.4407 98.67 98.67 35.29
Closest atoms and distances in Å follow each position.
Sites, in units of the cell vectors:
Pr: 0.0438 0.2145 0.0306  5 O 2.44-2.71, 3 F 2.44-2.51
Pr: 0.2145 0.0438 0.5306  5 O 2.44-2.71, 3 F 2.44-2.51
Pr: 0.2191 0.3556 0.3304  6 F 2.39-2.64, 1 O 2.48
Pr: 0.3556 0.2191 0.8304  6 F 2.39-2.64, 1 O 2.48
Pr: 0.6444 0.7809 0.1696  6 F 2.39-2.64, 1 O 2.48
Pr: 0.7809 0.6444 0.6696  6 F 2.39-2.64, 1 O 2.48
Pr: 0.7855 0.9562 0.4694  5 O 2.44-2.71, 3 F 2.44-2.51
Pr: 0.9562 0.7855 0.9694  5 O 2.44-2.71, 3 F 2.44-2.51
Se: 0.1104 0.8896 0.2500  4 O 1.67-1.69
Se: 0.3301 0.4841 0.6336  3 O 1.71-1.75
Se: 0.4841 0.3301 0.1336  3 O 1.71-1.75
Se: 0.5159 0.6699 0.8664  3 O 1.71-1.75
Se: 0.6699 0.5159 0.3664  3 O 1.71-1.75
Se: 0.8896 0.1104 0.7500  4 O 1.67-1.69
O: 0.0404 0.0821 0.2436  1 Se 1.69
O: 0.0821 0.0404 0.7436  1 Se 1.69
O: 0.1372 0.6075 0.4916  1 Se 1.75
O: 0.2097 0.7509 0.0802  1 Se 1.67
O: 0.2432 0.5241 0.8092  1 Se 1.71
O: 0.2491 0.7903 0.4198  1 Se 1.67
O: 0.2501 0.4605 0.0997  1 Se 1.75
O: 0.3925 0.8628 0.0084  1 Se 1.75
O: 0.4605 0.2501 0.5997  1 Se 1.75
O: 0.4759 0.7568 0.6908  1 Se 1.71
O: 0.5241 0.2432 0.3092  1 Se 1.71
O: 0.5395 0.7499 0.4003  1 Se 1.75
O: 0.6074 0.1372 0.9916  1 Se 1.75
O: 0.7499 0.5395 0.9003  1 Se 1.75
O: 0.7509 0.2097 0.5802  1 Se 1.67
O: 0.7568 0.4759 0.1908  1 Se 1.71
O: 0.7903 0.2491 0.9198  1 Se 1.67
O: 0.8628 0.3925 0.5084  1 Se 1.75
O: 0.9179 0.9596 0.2564  1 Se 1.69
O: 0.9596 0.9179 0.7564  1 Se 1.69
F: 0.0188 0.5350 0.8672  3 Pr 2.39-2.44, 2 F 2.58-2.66, 1 O 2.67
F: 0.1438 0.3483 0.5803  3 Pr 2.45-2.64, 4 F 2.54-2.66
F: 0.1459 0.2118 0.7980  3 Pr 2.44-2.53, 3 F 2.61-2.74, 1 O 2.66
F: 0.2118 0.1459 0.2980  3 Pr 2.44-2.53, 3 F 2.61-2.74, 1 O 2.66
F: 0.3483 0.1438 0.0803  3 Pr 2.45-2.64, 4 F 2.54-2.66
F: 0.4650 0.9812 0.6328  3 Pr 2.39-2.44, 2 F 2.58-2.66, 1 O 2.67
F: 0.5350 0.0188 0.3672  3 Pr 2.39-2.44, 2 F 2.58-2.66, 1 O 2.67
F: 0.6517 0.8562 0.9197  3 Pr 2.45-2.64, 4 F 2.54-2.66
F: 0.7882 0.8541 0.7020  3 Pr 2.44-2.53, 3 F 2.61-2.74, 1 O 2.66
F: 0.8541 0.7882 0.2020  3 Pr 2.44-2.53, 3 F 2.61-2.74, 1 O 2.66
F: 0.8562 0.6517 0.4197  3 Pr 2.45-2.64, 4 F 2.54-2.66
F: 0.9812 0.4650 0.1328  3 Pr 2.39-2.44, 2 F 2.58-2.66, 1 O 2.67

[3]
Computed, not measured: an optimized crystal structure of Pt4O9F24 at the PBE-GGA level of DFT.

* E: -3.710 eV/atom
* magnetization: 12.1 μB per cell
* E_form: -948 meV per atom

Lattice parameters (Å, degrees): 9.3230 9.3584 9.4613 112.27 108.53 104.02
Closest atoms and distances in Å follow each position.
Sites, in units of the cell vectors:
Pt: 0.0000 0.0000 0.0000  6 F 1.90-1.93
Pt: 0.0028 0.5171 0.4883  6 F 1.90-1.93
Pt: 0.4388 0.9820 0.4526  4 F 1.91-1.96
Pt: 0.4805 0.4966 0.9726  5 F 1.91-1.92
O: 0.0450 0.6176 0.0254  1 O 1.19
O: 0.3606 0.8875 0.6994  1 F 1.42
O: 0.4571 0.5105 0.4235  1 O 1.20
O: 0.5138 0.5006 0.5509  1 O 1.20
O: 0.6340 0.2174 0.5312  1 O 1.24
O: 0.7041 0.2056 0.4387  1 O 1.24
O: 0.7526 0.8605 0.2699  1 F 1.40
O: 0.7595 0.1099 0.7384  1 F 1.36
O: 0.9902 0.4977 0.0403  1 O 1.19
F: 0.0299 0.0610 0.8373  1 Pt 1.91
F: 0.0534 0.7539 0.5692  1 Pt 1.92
F: 0.0585 0.5516 0.7144  1 Pt 1.91
F: 0.1387 0.2267 0.1807  1 Pt 1.90
F: 0.1882 0.9461 0.0264  1 Pt 1.91
F: 0.2282 0.5646 0.5335  1 Pt 1.90
F: 0.2334 0.7900 0.3483  1 Pt 1.91
F: 0.3002 0.3296 0.7529  1 Pt 1.91
F: 0.3214 0.1186 0.4148  1 Pt 1.93
F: 0.3261 0.5388 0.0577  1 Pt 1.91
F: 0.4015 0.0317 0.6783  1 O 1.42
F: 0.4660 0.9229 0.2490  1 Pt 1.91
F: 0.4759 0.3249 0.0360  1 Pt 1.91
F: 0.4920 0.6711 0.9137  1 Pt 1.91
F: 0.5585 0.8470 0.5001  1 Pt 1.96
F: 0.6369 0.4517 0.8896  1 Pt 1.92
F: 0.6951 0.6908 0.2313  1 O 1.40
F: 0.7764 0.4718 0.4478  1 Pt 1.93
F: 0.8102 0.0554 0.9718  1 Pt 1.93
F: 0.8544 0.7760 0.8160  1 Pt 1.90
F: 0.8865 0.2385 0.7606  1 O 1.36
F: 0.9287 0.4726 0.2569  1 Pt 1.91
F: 0.9600 0.2820 0.4067  1 Pt 1.92
F: 0.9723 0.9303 0.1598  1 Pt 1.92

[4]
Computed, not measured: an optimized crystal structure of PtO2F6 at the PBE-GGA level of DFT.

* E: -3.860 eV/atom
* E_form: -1153 meV per atom

Lattice parameters (Å, degrees): 8.7964 8.7964 8.7964 109.47 109.47 109.47
Closest atoms and distances in Å follow each position.
Sites, in units of the cell vectors:
Pt: 0.0000 0.0000 0.0000  6 F 1.92
Pt: 0.0000 0.5000 0.5000  6 F 1.92
Pt: 0.5000 0.0000 0.5000  6 F 1.92
Pt: 0.5000 0.5000 0.0000  6 F 1.92
O: 0.0000 0.0669 0.5000  1 O 1.18
O: 0.0000 0.9331 0.5000  1 O 1.18
O: 0.0669 0.5000 0.0000  1 O 1.18
O: 0.4331 0.4331 0.4331  1 O 1.18
O: 0.5000 0.0000 0.0669  1 O 1.18
O: 0.5000 0.0000 0.9331  1 O 1.18
O: 0.5669 0.5669 0.5669  1 O 1.18
O: 0.9331 0.5000 0.0000  1 O 1.18
F: 0.0382 0.5853 0.3343  1 Pt 1.92
F: 0.0471 0.2510 0.0853  1 Pt 1.92
F: 0.0853 0.0471 0.2510  1 Pt 1.92
F: 0.1657 0.7510 0.7039  1 Pt 1.92
F: 0.2039 0.4529 0.5382  1 Pt 1.92
F: 0.2490 0.2961 0.8343  1 Pt 1.92
F: 0.2510 0.0853 0.0471  1 Pt 1.92
F: 0.2961 0.8343 0.2490  1 Pt 1.92
F: 0.3343 0.0382 0.5853  1 Pt 1.92
F: 0.4147 0.6657 0.9618  1 Pt 1.92
F: 0.4529 0.5382 0.2039  1 Pt 1.92
F: 0.4618 0.7961 0.5471  1 Pt 1.92
F: 0.5382 0.2039 0.4529  1 Pt 1.92
F: 0.5471 0.4618 0.7961  1 Pt 1.92
F: 0.5853 0.3343 0.0382  1 Pt 1.92
F: 0.6657 0.9618 0.4147  1 Pt 1.92
F: 0.7039 0.1657 0.7510  1 Pt 1.92
F: 0.7490 0.9147 0.9529  1 Pt 1.92
F: 0.7510 0.7039 0.1657  1 Pt 1.92
F: 0.7961 0.5471 0.4618  1 Pt 1.92
F: 0.8343 0.2490 0.2961  1 Pt 1.92
F: 0.9147 0.9529 0.7490  1 Pt 1.92
F: 0.9529 0.7490 0.9147  1 Pt 1.92
F: 0.9618 0.4147 0.6657  1 Pt 1.92

[5]
Computed, not measured: an optimized crystal structure of Pu2OF at the PBE-GGA level of DFT.

* E: -10.639 eV/atom
* magnetization: 11.8 μB per cell
* E_form: -2077 meV per atom

Lattice parameters (Å, degrees): 3.4697 3.4842 8.7287 90.00 90.00 90.00
Closest atoms and distances in Å follow each position.
Sites, in units of the cell vectors:
Pu: 0.0000 0.0000 0.2356  1 O 2.06
Pu: 0.0000 0.0000 0.7644  1 O 2.06
O: 0.0000 0.0000 0.0000  2 Pu 2.06
F: 0.0000 0.0000 0.5000  2 Pu 2.31